# Li6CuO4

Li6CuO4 after structural relaxation (GGA-PBE, Materials Project).

The total energy comes out at -105.5 eV for the cell shown. Its space group is P4_2/nmc, No. 137. For the formation energy, the calculation gives -1832 meV/atom. The calculation puts the MP2020-corrected energy at -111.0 eV/cell. As for the calculated volume: 201.94 Å³/cell.

Cell: 6.6333 6.6333 4.5896 Å, 90.00 90.00 90.00°
Last column: nearest neighbours and their distance in Å.
Element x y z (fractional)
Li 0.0317 0.5317 0.2500  4 O 2.03-2.08
Li 0.0317 0.9683 0.2500  4 O 2.03-2.08
Li 0.2500 0.2500 0.1875  4 O 1.90-1.95
Li 0.2500 0.2500 0.6875  4 O 1.90-1.95
Li 0.4683 0.5317 0.2500  4 O 2.03-2.08
Li 0.4683 0.9683 0.2500  4 O 2.03-2.08
Li 0.5317 0.0317 0.7500  4 O 2.03-2.08
Li 0.5317 0.4683 0.7500  4 O 2.03-2.08
Li 0.7500 0.7500 0.3125  4 O 1.90-1.95
Li 0.7500 0.7500 0.8125  4 O 1.90-1.95
Li 0.9683 0.0317 0.7500  4 O 2.03-2.08
Li 0.9683 0.4683 0.7500  4 O 2.03-2.08
Cu 0.2500 0.7500 0.7500  4 O 1.99
Cu 0.7500 0.2500 0.2500  4 O 1.99
O 0.0176 0.2500 0.4473  6 Li 1.90-2.08, 1 Cu 1.99
O 0.2500 0.0176 0.9473  6 Li 1.90-2.08, 1 Cu 1.99
O 0.2500 0.4824 0.9473  6 Li 1.90-2.08, 1 Cu 1.99
O 0.4824 0.2500 0.4473  6 Li 1.90-2.08, 1 Cu 1.99
O 0.5176 0.7500 0.5527  6 Li 1.90-2.08, 1 Cu 1.99
O 0.7500 0.5176 0.0527  6 Li 1.90-2.08, 1 Cu 1.99
O 0.7500 0.9824 0.0527  6 Li 1.90-2.08, 1 Cu 1.99
O 0.9824 0.7500 0.5527  6 Li 1.90-2.08, 1 Cu 1.99


# Rb2VAgSe4

Rb2VAgSe4 after structural relaxation (GGA-PBE, Materials Project).

For the energy above the most stable polymorph in this dataset, the calculation gives 9 meV/atom. The total energy comes out at -69.5 eV for the cell shown. Its space group is P1, No. 1. For the formation energy, the calculation gives -1096 meV/atom. The calculation puts the MP2020-corrected energy at -73.3 eV/cell. As for the calculated volume: 525.34 Å³/cell.

Cell: 6.0515 7.6956 12.6364 Å, 84.60 76.15 66.85°
Last column: nearest neighbours and their distance in Å.
Element x y z (fractional)
Rb 0.0000 0.0000 0.0000  6 Se 3.47-3.80
Rb 0.1064 0.5096 0.7773  6 Se 3.44-3.80
Rb 0.3451 0.0075 0.2800  6 Se 3.47-3.81
Rb 0.7502 0.5027 0.5008  7 Se 3.50-3.86
V 0.1665 0.0095 0.6371  4 Se 2.27-2.42
V 0.9305 0.5029 0.1367  4 Se 2.30-2.34
Ag 0.4281 0.5019 0.1357  4 Se 2.63-2.69
Ag 0.6812 0.0031 0.6384  4 Se 2.57-2.71
Se 0.1135 0.8047 0.5287  1 V 2.34, 1 Ag 2.57
Se 0.2830 0.3044 0.0242  1 V 2.30
Se 0.3397 0.1939 0.5275  1 V 2.27
Se 0.4232 0.8028 0.7540  1 V 2.42
Se 0.6783 0.7036 0.0246  1 V 2.34
Se 0.7620 0.3085 0.2478  1 V 2.32
Se 0.8124 0.2052 0.7533  1 V 2.32
Se 0.9743 0.6956 0.2538  1 V 2.32